Record 1
Na14Mg5Zr3P12O48: optimized geometry, PBE-GGA. Values from VASP.

The structure in Quantum ESPRESSO input format:
```
&SYSTEM
  ibrav = 0, nat = 246, ntyp = 5
/
ATOMIC_SPECIES
Na 22.99 Na.upf
Mg 24.30 Mg.upf
Zr 91.22 Zr.upf
P 30.97 P.upf
O 16.00 O.upf
CELL_PARAMETERS angstrom
9.021 0.000 0.000
0.039 15.608 0.000
0.041 0.015 22.450
ATOMIC_POSITIONS crystal
Na 0.000 0.000 0.000
Na 0.000 0.333 0.334
Na 0.008 0.297 0.671
Na 0.009 0.665 0.671
Na 0.014 0.634 0.000
Na 0.014 0.967 0.334
Na 0.136 0.469 0.832
Na 0.141 0.796 0.171
Na 0.148 0.499 0.500
Na 0.151 0.830 0.833
Na 0.186 0.143 0.832
Na 0.191 0.809 0.500
Na 0.196 0.482 0.171
Na 0.323 0.307 0.247
Na 0.324 0.314 0.748
Na 0.324 0.989 0.414
Na 0.327 0.977 0.915
Na 0.328 0.652 0.085
Na 0.333 0.647 0.585
Na 0.455 0.481 0.671
Na 0.497 0.830 0.332
Na 0.499 0.500 0.000
Na 0.508 0.797 0.671
Na 0.509 0.165 0.671
Na 0.510 0.470 0.333
Na 0.512 0.134 0.000
Na 0.633 0.301 0.167
Na 0.636 0.969 0.832
Na 0.640 0.665 0.171
Na 0.648 0.999 0.501
Na 0.651 0.330 0.833
Na 0.686 0.643 0.832
Na 0.686 0.977 0.168
Na 0.690 0.309 0.501
Na 0.820 0.485 0.416
Na 0.824 0.813 0.248
Na 0.824 0.814 0.748
Na 0.828 0.477 0.915
Na 0.833 0.148 0.585
Na 0.836 0.153 0.081
Na 0.956 0.981 0.671
Na 0.963 0.643 0.332
Mg 0.319 0.311 0.103
Mg 0.323 0.314 0.602
Mg 0.324 0.981 0.769
Mg 0.325 0.647 0.237
Mg 0.325 0.648 0.737
Mg 0.327 0.651 0.935
Mg 0.327 0.985 0.270
Mg 0.331 0.647 0.436
Mg 0.823 0.813 0.102
Mg 0.823 0.814 0.602
Mg 0.824 0.481 0.769
Mg 0.824 0.482 0.269
Mg 0.825 0.148 0.737
Mg 0.827 0.151 0.935
Mg 0.830 0.147 0.437
Zr 0.321 0.983 0.569
Zr 0.322 0.314 0.902
Zr 0.325 0.310 0.401
Zr 0.326 0.979 0.069
Zr 0.821 0.483 0.569
Zr 0.822 0.814 0.902
Zr 0.823 0.813 0.402
Zr 0.826 0.479 0.068
Zr 0.828 0.148 0.234
P 0.030 0.311 0.505
P 0.030 0.979 0.171
P 0.033 0.646 0.836
P 0.118 0.145 0.338
P 0.119 0.812 0.004
P 0.121 0.481 0.671
P 0.173 0.168 0.005
P 0.175 0.833 0.671
P 0.176 0.130 0.673
P 0.177 0.502 0.336
P 0.180 0.463 0.005
P 0.181 0.794 0.336
P 0.467 0.129 0.171
P 0.467 0.794 0.835
P 0.468 0.462 0.504
P 0.472 0.503 0.836
P 0.473 0.832 0.173
P 0.475 0.168 0.505
P 0.527 0.481 0.171
P 0.529 0.812 0.505
P 0.533 0.146 0.836
P 0.615 0.646 0.335
P 0.619 0.312 0.005
P 0.621 0.981 0.671
P 0.672 0.668 0.005
P 0.673 0.002 0.338
P 0.675 0.333 0.671
P 0.676 0.630 0.672
P 0.679 0.963 0.005
P 0.680 0.295 0.338
P 0.967 0.294 0.835
P 0.968 0.963 0.504
P 0.972 0.003 0.836
P 0.972 0.629 0.171
P 0.975 0.668 0.504
P 0.976 0.335 0.172
O 0.005 0.804 0.342
O 0.006 0.137 0.675
O 0.006 0.824 0.664
O 0.007 0.152 0.997
O 0.007 0.474 0.008
O 0.007 0.490 0.330
O 0.017 0.132 0.391
O 0.018 0.163 0.282
O 0.019 0.495 0.615
O 0.019 0.829 0.948
O 0.021 0.466 0.725
O 0.021 0.801 0.059
O 0.126 0.303 0.560
O 0.126 0.633 0.892
O 0.126 0.664 0.780
O 0.127 0.966 0.225
O 0.127 0.993 0.114
O 0.128 0.329 0.448
O 0.142 0.304 0.842
O 0.142 0.328 0.163
O 0.142 0.966 0.508
O 0.142 0.990 0.830
O 0.143 0.636 0.174
O 0.143 0.657 0.497
O 0.200 0.738 0.280
O 0.203 0.556 0.392
O 0.203 0.890 0.725
O 0.206 0.407 0.947
O 0.207 0.070 0.617
O 0.209 0.223 0.057
O 0.210 0.230 0.342
O 0.211 0.897 0.008
O 0.213 0.065 0.329
O 0.213 0.732 0.996
O 0.217 0.562 0.674
O 0.219 0.400 0.664
O 0.246 0.753 0.392
O 0.246 0.885 0.330
O 0.247 0.207 0.947
O 0.247 0.877 0.614
O 0.248 0.088 0.727
O 0.248 0.219 0.664
O 0.248 0.420 0.059
O 0.248 0.552 0.997
O 0.249 0.410 0.343
O 0.250 0.540 0.280
O 0.250 0.744 0.674
O 0.251 0.077 0.008
O 0.395 0.550 0.496
O 0.397 0.752 0.889
O 0.398 0.540 0.780
O 0.398 0.744 0.174
O 0.399 0.879 0.117
O 0.400 0.410 0.842
O 0.402 0.211 0.450
O 0.402 0.419 0.559
O 0.402 0.886 0.830
O 0.403 0.084 0.223
O 0.405 0.076 0.508
O 0.409 0.221 0.164
O 0.423 0.736 0.497
O 0.429 0.067 0.831
O 0.430 0.229 0.842
O 0.430 0.400 0.163
O 0.432 0.563 0.174
O 0.432 0.897 0.508
O 0.444 0.404 0.447
O 0.445 0.556 0.892
O 0.446 0.222 0.560
O 0.447 0.073 0.113
O 0.447 0.889 0.227
O 0.452 0.739 0.778
O 0.506 0.324 0.664
O 0.506 0.637 0.675
O 0.507 0.307 0.341
O 0.507 0.653 0.997
O 0.507 0.974 0.008
O 0.507 0.986 0.331
O 0.517 0.632 0.389
O 0.519 0.995 0.615
O 0.520 0.329 0.948
O 0.521 0.301 0.059
O 0.521 0.966 0.725
O 0.526 0.665 0.278
O 0.626 0.133 0.892
O 0.626 0.164 0.780
O 0.626 0.803 0.560
O 0.627 0.829 0.448
O 0.628 0.465 0.225
O 0.630 0.495 0.115
O 0.642 0.466 0.508
O 0.642 0.490 0.830
O 0.642 0.804 0.842
O 0.643 0.135 0.175
O 0.643 0.157 0.497
O 0.643 0.824 0.164
O 0.703 0.390 0.725
O 0.706 0.907 0.948
O 0.707 0.240 0.280
O 0.708 0.054 0.393
O 0.708 0.570 0.617
O 0.708 0.721 0.060
O 0.712 0.397 0.008
O 0.714 0.232 0.996
O 0.717 0.062 0.674
O 0.718 0.728 0.342
O 0.719 0.900 0.664
O 0.720 0.568 0.330
O 0.747 0.253 0.392
O 0.747 0.377 0.614
O 0.747 0.920 0.059
O 0.748 0.052 0.997
O 0.748 0.385 0.330
O 0.748 0.588 0.727
O 0.748 0.708 0.948
O 0.749 0.042 0.282
O 0.749 0.719 0.664
O 0.750 0.244 0.674
O 0.752 0.577 0.008
O 0.752 0.911 0.341
O 0.895 0.050 0.496
O 0.895 0.246 0.175
O 0.897 0.252 0.889
O 0.898 0.040 0.780
O 0.898 0.377 0.117
O 0.900 0.587 0.225
O 0.900 0.719 0.164
O 0.900 0.910 0.842
O 0.902 0.386 0.830
O 0.902 0.919 0.559
O 0.904 0.709 0.447
O 0.905 0.576 0.508
O 0.923 0.237 0.497
O 0.926 0.059 0.175
O 0.929 0.567 0.830
O 0.930 0.729 0.842
O 0.930 0.900 0.164
O 0.933 0.397 0.508
O 0.942 0.571 0.115
O 0.944 0.056 0.892
O 0.944 0.723 0.559
O 0.944 0.905 0.448
O 0.945 0.389 0.227
O 0.951 0.239 0.778
```

Output
energy of formation = -277.99 kJ/mol of atoms

=====

Record 2
RbNaMg30O31: optimized geometry, PBE-GGA. Values from VASP.

The structure in Quantum ESPRESSO input format:
```
&SYSTEM
  ibrav = 0, nat = 63, ntyp = 4
/
ATOMIC_SPECIES
Rb 85.47 Rb.upf
Na 22.99 Na.upf
Mg 24.30 Mg.upf
O 16.00 O.upf
CELL_PARAMETERS angstrom
8.675 0.000 0.000
0.000 8.690 0.000
0.000 0.000 8.481
ATOMIC_POSITIONS crystal
Rb 0.000 0.000 0.000
Na 0.000 0.500 0.892
Mg 0.000 0.000 0.419
Mg 0.000 0.248 0.658
Mg 0.000 0.282 0.144
Mg 0.000 0.500 0.400
Mg 0.000 0.718 0.144
Mg 0.000 0.752 0.658
Mg 0.244 0.000 0.657
Mg 0.247 0.248 0.397
Mg 0.247 0.500 0.648
Mg 0.247 0.752 0.397
Mg 0.250 0.254 0.896
Mg 0.250 0.746 0.896
Mg 0.254 0.500 0.146
Mg 0.281 0.000 0.148
Mg 0.500 0.000 0.404
Mg 0.500 0.000 0.889
Mg 0.500 0.251 0.647
Mg 0.500 0.255 0.146
Mg 0.500 0.500 0.400
Mg 0.500 0.500 0.893
Mg 0.500 0.745 0.146
Mg 0.500 0.749 0.647
Mg 0.719 0.000 0.148
Mg 0.746 0.500 0.146
Mg 0.750 0.254 0.896
Mg 0.750 0.746 0.896
Mg 0.753 0.248 0.397
Mg 0.753 0.500 0.648
Mg 0.753 0.752 0.397
Mg 0.756 0.000 0.657
O 0.000 0.000 0.648
O 0.000 0.239 0.387
O 0.000 0.258 0.900
O 0.000 0.500 0.164
O 0.000 0.500 0.631
O 0.000 0.742 0.900
O 0.000 0.761 0.387
O 0.243 0.000 0.390
O 0.245 0.244 0.146
O 0.245 0.756 0.146
O 0.249 0.249 0.646
O 0.249 0.751 0.646
O 0.251 0.500 0.395
O 0.266 0.500 0.899
O 0.272 0.000 0.901
O 0.500 0.000 0.156
O 0.500 0.000 0.643
O 0.500 0.248 0.395
O 0.500 0.251 0.898
O 0.500 0.500 0.152
O 0.500 0.500 0.643
O 0.500 0.749 0.898
O 0.500 0.752 0.395
O 0.728 0.000 0.901
O 0.734 0.500 0.899
O 0.749 0.500 0.395
O 0.751 0.249 0.646
O 0.751 0.751 0.646
O 0.755 0.244 0.146
O 0.755 0.756 0.146
O 0.757 0.000 0.390
```

Output
energy of formation = -277.46 kJ/mol of atoms

=====

Record 3
RbNaMg5Si12O30: optimized geometry, PBE-GGA. Values from VASP.

The structure in Quantum ESPRESSO input format:
```
&SYSTEM
  ibrav = 0, nat = 98, ntyp = 5
/
ATOMIC_SPECIES
Rb 85.47 Rb.upf
Na 22.99 Na.upf
Mg 24.30 Mg.upf
Si 28.09 Si.upf
O 16.00 O.upf
CELL_PARAMETERS angstrom
10.227 0.000 0.000
-5.114 8.857 0.000
0.000 0.000 14.614
ATOMIC_POSITIONS crystal
Rb 0.000 0.000 0.000
Rb 0.000 0.000 0.500
Na 0.333 0.667 0.250
Na 0.667 0.333 0.750
Mg 0.000 0.500 0.000
Mg 0.000 0.500 0.500
Mg 0.333 0.667 0.503
Mg 0.333 0.667 0.997
Mg 0.500 0.000 0.000
Mg 0.500 0.000 0.500
Mg 0.500 0.500 0.000
Mg 0.500 0.500 0.500
Mg 0.667 0.333 0.003
Mg 0.667 0.333 0.497
Si 0.115 0.762 0.141
Si 0.115 0.762 0.359
Si 0.116 0.356 0.642
Si 0.116 0.356 0.858
Si 0.238 0.353 0.141
Si 0.238 0.353 0.359
Si 0.240 0.884 0.642
Si 0.240 0.884 0.858
Si 0.353 0.238 0.641
Si 0.353 0.238 0.859
Si 0.356 0.116 0.142
Si 0.356 0.116 0.358
Si 0.644 0.760 0.642
Si 0.644 0.760 0.858
Si 0.647 0.885 0.141
Si 0.647 0.885 0.359
Si 0.760 0.644 0.142
Si 0.760 0.644 0.358
Si 0.762 0.115 0.641
Si 0.762 0.115 0.859
Si 0.884 0.240 0.142
Si 0.884 0.240 0.358
Si 0.885 0.647 0.641
Si 0.885 0.647 0.859
O 0.057 0.278 0.119
O 0.057 0.278 0.381
O 0.059 0.780 0.618
O 0.059 0.780 0.882
O 0.133 0.397 0.750
O 0.137 0.736 0.250
O 0.155 0.499 0.578
O 0.155 0.499 0.922
O 0.156 0.656 0.081
O 0.156 0.656 0.419
O 0.220 0.279 0.618
O 0.220 0.279 0.882
O 0.221 0.943 0.119
O 0.221 0.943 0.381
O 0.264 0.401 0.250
O 0.264 0.867 0.750
O 0.278 0.057 0.619
O 0.278 0.057 0.881
O 0.279 0.220 0.118
O 0.279 0.220 0.382
O 0.344 0.501 0.081
O 0.344 0.501 0.419
O 0.344 0.845 0.578
O 0.344 0.845 0.922
O 0.397 0.133 0.250
O 0.401 0.264 0.750
O 0.499 0.155 0.078
O 0.499 0.155 0.422
O 0.499 0.844 0.081
O 0.499 0.844 0.419
O 0.501 0.344 0.581
O 0.501 0.344 0.919
O 0.501 0.656 0.578
O 0.501 0.656 0.922
O 0.599 0.863 0.250
O 0.603 0.736 0.750
O 0.656 0.156 0.581
O 0.656 0.156 0.919
O 0.656 0.501 0.078
O 0.656 0.501 0.422
O 0.721 0.941 0.618
O 0.721 0.941 0.882
O 0.722 0.779 0.119
O 0.722 0.779 0.381
O 0.736 0.137 0.750
O 0.736 0.603 0.250
O 0.779 0.722 0.619
O 0.779 0.722 0.881
O 0.780 0.059 0.118
O 0.780 0.059 0.382
O 0.844 0.499 0.581
O 0.844 0.499 0.919
O 0.845 0.344 0.078
O 0.845 0.344 0.422
O 0.863 0.599 0.750
O 0.867 0.264 0.250
O 0.941 0.721 0.118
O 0.941 0.721 0.382
O 0.943 0.221 0.619
O 0.943 0.221 0.881
```

Output
energy of formation = -308.49 kJ/mol of atoms